Here is a relaxed structure of Rb3Ru from the Materials Project. Energies are from PBE-GGA.

Calculated values
Calculated total energy: -1.942 eV/atom
ρ: 3.2 g/cm3
M_tot: 1.7 μB/cell
SG: Fm-3m
ΔE_f: 1.112 eV per atom

a = 6.3918 Å, b = 6.3918 Å, c = 6.3918 Å
α = 60.00°, β = 60.00°, γ = 60.00°
With the nearest neighbours (Å) after each atom.
Sites, in units of the cell vectors:
Rb 0.0000 0.0000 0.0000  8 Rb 3.91
Rb 0.2500 0.2500 0.2500  4 Ru 3.91, 4 Rb 3.91
Rb 0.7500 0.7500 0.7500  4 Ru 3.91, 4 Rb 3.91
Ru 0.5000 0.5000 0.5000  8 Rb 3.91